Density functional theory data (PBE with a Hubbard U) for crystalline Cr3Co3Te2O16 at its relaxed geometry.

Cell lengths 10.057, 5.838, 9.118 Å; angles 90.00, 91.56, 90.00 degrees
Space group Cm (No. 8)
One atom of each set of equivalent atoms:
Cr 0.000 0.000 0.000 x2
Cr 0.415 0.244 0.502 x4
Co 0.159 0.500 0.507 x2
Co 0.244 0.243 0.006 x4
Te 0.001 0.500 0.225 x2
Te 0.168 0.000 0.729 x2
O 0.001 0.000 0.623 x2
O 0.001 0.500 0.611 x2
O 0.076 0.282 0.378 x4
O 0.094 0.224 0.876 x4
O 0.168 0.000 0.107 x2
O 0.169 0.500 0.122 x2
O 0.248 0.250 0.624 x4
O 0.313 0.000 0.888 x2
O 0.324 0.500 0.421 x2
O 0.326 0.500 0.922 x2
O 0.351 0.000 0.368 x2
O 0.416 0.251 0.122 x4

Properties
* magnetization: 0.375 μB/atom
* ΔE_f: -37.6 eV/f.u.
* crystal system: monoclinic

***

Density functional theory data (PBE with a Hubbard U) for crystalline V4CrCoO12 at its relaxed geometry.

Cell lengths 10.002, 9.083, 5.812 Å; angles 90.00, 110.08, 90.00 degrees
Space group C2 (No. 5)
One atom of each set of equivalent atoms:
V 0.200 0.000 0.484 x4
V 0.205 0.812 0.993 x4
Cr 0.000 0.324 0.500 x2
Co 0.000 0.492 0.000 x2
O 0.108 0.328 0.870 x4
O 0.115 0.486 0.404 x4
O 0.133 0.913 0.195 x4
O 0.140 0.178 0.463 x4
O 0.141 0.902 0.693 x4
O 0.142 0.639 0.967 x4

Properties
* magnetization: 0.385 μB/atom
* ΔE_f: -39.7 eV/f.u.
* crystal system: monoclinic

***

Density functional theory data (PBE with a Hubbard U) for crystalline CsCoCuF6 at its relaxed geometry.

Cell lengths 7.285, 7.495, 10.329 Å; angles 90.00, 90.00, 90.00 degrees
Space group Imma (No. 74)
One atom of each set of equivalent atoms:
Cs 0.000 0.250 0.126 x4
Co 0.250 0.250 0.750 x4
Cu 0.000 0.000 0.500 x4
F 0.000 0.250 0.431 x4
F 0.000 0.250 0.821 x4
F 0.194 0.057 0.625 x16

Properties
* magnetization: 0.417 μB/atom
* ΔE_f: -20.6 eV/f.u.
* crystal system: orthorhombic

***

Density functional theory data (PBE with a Hubbard U) for crystalline Cs4Co3F10 at its relaxed geometry.

Cell lengths 6.297, 14.679, 14.073 Å; angles 90.00, 90.00, 90.00 degrees
Space group Cmce (No. 64)
One atom of each set of equivalent atoms:
Cs 0.000 0.045 0.139 x8
Cs 0.000 0.244 0.391 x8
Co 0.000 0.000 0.500 x4
Co 0.000 0.121 0.653 x8
F 0.000 0.026 0.354 x8
F 0.000 0.245 0.147 x8
F 0.216 0.100 0.537 x16
F 0.250 0.115 0.750 x8

Properties
* ΔE_f: -45.0 eV/f.u.
* crystal system: orthorhombic

***

Density functional theory data (PBE with a Hubbard U) for crystalline Cs3CoF6 at its relaxed geometry.

Cell lengths 9.568, 9.568, 9.568 Å; angles 90.00, 90.00, 90.00 degrees
Space group Fm-3m (No. 225)
One atom of each set of equivalent atoms:
Cs 0.000 0.000 0.000 x4
Cs 0.250 0.250 0.250 x8
Co 0.000 0.000 0.500 x4
F 0.000 0.000 0.297 x24

Properties
* ΔE_f: -26.7 eV/f.u.
* crystal system: cubic

***

Density functional theory data (PBE with a Hubbard U) for crystalline CsCoF4 at its relaxed geometry.

Cell lengths 12.547, 12.547, 13.283 Å; angles 90.00, 90.00, 90.00 degrees
Space group I-4c2 (No. 120)
One atom of each set of equivalent atoms:
Cs 0.000 0.000 0.250 x4
Cs 0.159 0.335 0.327 x16
Co 0.000 0.500 0.000 x4
Co 0.077 0.210 0.999 x16
F 0.000 0.500 0.137 x8
F 0.004 0.345 0.499 x16
F 0.066 0.147 0.497 x16
F 0.076 0.212 0.137 x16
F 0.080 0.209 0.862 x16
F 0.221 0.279 0.000 x8

Properties
* magnetization: 0.267 μB/atom
* ΔE_f: -14.7 eV/f.u.
* crystal system: tetragonal

***

> ΔE_f of number 3 (CsCoCuF6)?

-20.6 eV/f.u.

***

> The lowest ΔE_f belongs to which entry?

Cs4Co3F10

***

> Among the records above, which one has the lowest ΔE_f?

Cs4Co3F10

***

> Among the records above, which one has the highest ΔE_f?

CsCoF4